Computed, not measured: ZrTi2 after structural relaxation at the meta-GGA r2SCAN level of DFT.

Cell: 4.7244 4.7244 3.0034 Å, 90.00 90.00 120.00°
Last column: nearest neighbours and their distance in Å.
Fractional positions:
Zr 0.0000 0.0000 0.0000  2 Zr 3.00, 12 Ti 3.11
Ti 0.6667 0.3334 0.5000  5 Ti 2.73-3.00
Ti 0.3334 0.6667 0.5000  5 Ti 2.73-3.00

Results
Calculated total energy ... -48.51 eV/cell
ΔE_f ... 0.0378 eV per atom